# 1
# Li6V3P8O29, relaxed, DFT PBE+U
# E above lowest polymorph = 0.19 eV/f.u.
# Total DFT energy (no corrections) = -7.017 eV per atom
# DFT formation energy = -122.292 eV per formula unit
# Mass density = 2.6 g/cm³
# Total moment = 6.0 μB/cell
data_Li6V3P8O29
_symmetry_space_group_name_H-M 'P 1'
_symmetry_Int_Tables_number 1
_symmetry_space_group_name_Hall 'P 1'
_cell_length_a 9.7994
_cell_length_b 9.8103
_cell_length_c 13.9735
_cell_angle_alpha 90.28
_cell_angle_beta 90.15
_cell_angle_gamma 119.94
loop_
_atom_site_label
_atom_site_type_symbol
_atom_site_fract_x
_atom_site_fract_y
_atom_site_fract_z
Li1 Li 0.0000 0.0000 0.0000
Li2 Li 0.0040 0.4439 0.4974
Li3 Li 0.1320 0.5850 0.0061
Li4 Li 0.1417 0.0167 0.5000
Li5 Li 0.2156 0.8993 0.1231
Li6 Li 0.2363 0.7752 0.6197
Li7 Li 0.5711 0.5837 0.4985
Li8 Li 0.5842 0.0242 0.9497
Li9 Li 0.5991 0.4560 0.0034
Li10 Li 0.6697 0.3473 0.6184
Li11 Li 0.6820 0.7634 0.1229
Li12 Li 0.8935 0.7135 0.5617
V1 V 0.3412 0.1160 0.3109
V2 V 0.3406 0.6781 0.8083
V3 V 0.4701 0.2437 0.8115
V4 V 0.4726 0.6794 0.3114
V5 V 0.9021 0.1124 0.8065
V6 V 0.9067 0.2444 0.3093
P1 P 0.1317 0.9910 0.7188
P2 P 0.1347 0.5875 0.2217
P3 P 0.2198 0.7675 0.4045
P4 P 0.2280 0.9071 0.9028
P5 P 0.2362 0.3445 0.9311
P6 P 0.2418 0.3466 0.4328
P7 P 0.5706 0.0111 0.1908
P8 P 0.5706 0.0141 0.6890
P9 P 0.5862 0.4482 0.2183
P10 P 0.5938 0.5924 0.7158
P11 P 0.6771 0.7696 0.9014
P12 P 0.6803 0.3670 0.4013
P13 P 0.8189 0.3652 0.9026
P14 P 0.8233 0.9050 0.4004
P15 P 0.9887 0.4485 0.7158
P16 P 0.9928 0.9970 0.2157
O1 O 0.0117 0.1591 0.2373
O2 O 0.0861 0.1964 0.8884
O3 O 0.0967 0.3571 0.3936
O4 O 0.1127 0.6796 0.3109
O5 O 0.1192 0.8853 0.8114
O6 O 0.1261 0.8990 0.6295
O7 O 0.1298 0.6783 0.4928
O8 O 0.1512 0.6783 0.1317
O9 O 0.1528 0.9260 0.9917
O10 O 0.1546 0.0074 0.2179
O11 O 0.1546 0.5960 0.7194
O12 O 0.2308 0.1903 0.3898
O13 O 0.2373 0.3428 0.0374
O14 O 0.2393 0.9329 0.4041
O15 O 0.2407 0.4961 0.8893
O16 O 0.2418 0.7571 0.9045
O17 O 0.2426 0.3391 0.5397
O18 O 0.2874 0.5804 0.2405
O19 O 0.2890 0.1460 0.7290
O20 O 0.3766 0.7719 0.3916
O21 O 0.3849 0.3416 0.8886
O22 O 0.3957 0.0502 0.8867
O23 O 0.3971 0.4908 0.3947
O24 O 0.4153 0.8662 0.7274
O25 O 0.4176 0.0078 0.2305
O26 O 0.4240 0.3025 0.2380
O27 O 0.4376 0.5940 0.7283
O28 O 0.5264 0.2087 0.3909
O29 O 0.5345 0.7953 0.8830
O30 O 0.5648 0.0083 0.0832
O31 O 0.5671 0.4240 0.7208
O32 O 0.5720 0.0209 0.5829
O33 O 0.5725 0.5996 0.2223
O34 O 0.5740 0.8618 0.2273
O35 O 0.5794 0.1683 0.7324
O36 O 0.6506 0.7662 0.4017
O37 O 0.6522 0.3465 0.9047
O38 O 0.6558 0.6751 0.9902
O39 O 0.6592 0.4377 0.1275
O40 O 0.6814 0.4575 0.4902
O41 O 0.6811 0.6704 0.6261
O42 O 0.6983 0.6814 0.8100
O43 O 0.7003 0.4720 0.3088
O44 O 0.7144 0.0085 0.7358
O45 O 0.7163 0.1569 0.2355
O46 O 0.7965 0.1972 0.8889
O47 O 0.8255 0.3453 0.4017
O48 O 0.8265 0.9322 0.9045
O49 O 0.8294 0.0639 0.3944
O50 O 0.8930 0.8798 0.3012
O51 O 0.8939 0.4639 0.8048
O52 O 0.9036 0.4482 0.6251
O53 O 0.9042 0.9239 0.1239
O54 O 0.9151 0.8878 0.4813
O55 O 0.9188 0.4540 0.9855
O56 O 0.9907 0.0151 0.7237
O57 O 0.9926 0.4218 0.2227
O58 O 0.9969 0.2972 0.7287

=====

# 2
# MgV5Mo5O25, relaxed, DFT PBE+U
# E above lowest polymorph = 0.47 eV/f.u.
# Total DFT energy (no corrections) = -7.242 eV per atom
# DFT formation energy = -77.444 eV per formula unit
# Mass density = 4.0 g/cm³
# Total moment = 7.0 μB/cell
data_MgV5Mo5O25
_symmetry_space_group_name_H-M 'P 1'
_symmetry_Int_Tables_number 1
_symmetry_space_group_name_Hall 'P 1'
_cell_length_a 5.6039
_cell_length_b 6.4683
_cell_length_c 14.0224
_cell_angle_alpha 101.41
_cell_angle_beta 94.92
_cell_angle_gamma 102.95
loop_
_atom_site_label
_atom_site_type_symbol
_atom_site_fract_x
_atom_site_fract_y
_atom_site_fract_z
Mg1 Mg 0.0000 0.0000 0.0000
V1 V 0.1272 0.8027 0.4946
V2 V 0.2657 0.9984 0.3115
V3 V 0.3417 0.1784 0.8746
V4 V 0.6665 0.8188 0.1270
V5 V 0.7475 0.9969 0.6884
Mo1 Mo 0.1278 0.5927 0.9178
Mo2 Mo 0.4853 0.5843 0.2932
Mo3 Mo 0.5288 0.4179 0.7138
Mo4 Mo 0.8800 0.4072 0.0866
Mo5 Mo 0.9056 0.2139 0.5099
O1 O 0.0072 0.4945 0.5021
O2 O 0.0134 0.9239 0.2279
O3 O 0.0797 0.3072 0.9715
O4 O 0.1259 0.0740 0.4379
O5 O 0.1396 0.4888 0.1762
O6 O 0.2099 0.9018 0.9073
O7 O 0.2656 0.3309 0.6271
O8 O 0.2660 0.7292 0.3656
O9 O 0.3641 0.4670 0.8322
O10 O 0.3791 0.3050 0.3013
O11 O 0.3815 0.8709 0.5746
O12 O 0.4307 0.7144 0.0315
O13 O 0.5037 0.8717 0.2392
O14 O 0.5097 0.1294 0.7629
O15 O 0.5773 0.2824 0.9699
O16 O 0.6360 0.1303 0.4273
O17 O 0.6378 0.6938 0.7020
O18 O 0.6466 0.5360 0.1709
O19 O 0.7521 0.2728 0.6362
O20 O 0.7522 0.6698 0.3773
O21 O 0.7960 0.0973 0.0958
O22 O 0.8705 0.5089 0.8261
O23 O 0.8941 0.9404 0.5671
O24 O 0.9274 0.6924 0.0311
O25 O 0.9971 0.0760 0.7745

=====

# 3
# CrH17N4Cl2O3, relaxed, DFT PBE+U
# Total DFT energy (no corrections) = -5.068 eV per atom
# DFT formation energy = -21.687 eV per formula unit
# Mass density = 1.6 g/cm³
# Total moment = 6.0 μB/cell
data_CrH17N4Cl2O3
_symmetry_space_group_name_H-M 'P -1'
_symmetry_Int_Tables_number 2
_symmetry_space_group_name_Hall '-P 1'
_cell_length_a 6.8363
_cell_length_b 7.9308
_cell_length_c 10.4482
_cell_angle_alpha 92.58
_cell_angle_beta 106.14
_cell_angle_gamma 105.67
loop_
_atom_site_label
_atom_site_type_symbol
_atom_site_fract_x
_atom_site_fract_y
_atom_site_fract_z
Cr1 Cr 0.0110 0.0077 0.1496
H1 H 0.0140 0.6649 0.8808
H2 H 0.0458 0.6813 0.1290
H3 H 0.0773 0.2995 0.7575
H4 H 0.1105 0.3311 0.2793
H5 H 0.1912 0.0577 0.6638
H6 H 0.2134 0.3372 0.9185
H7 H 0.2384 0.0998 0.4079
H8 H 0.2434 0.3451 0.1694
H9 H 0.2554 0.6099 0.4519
H10 H 0.2560 0.8867 0.7342
H11 H 0.2678 0.9134 0.0400
H12 H 0.2883 0.9167 0.3575
H13 H 0.3278 0.5724 0.6934
H14 H 0.3629 0.0916 0.8148
H15 H 0.3939 0.6723 0.8413
H16 H 0.3959 0.1138 0.3127
H17 H 0.4603 0.6719 0.4073
N1 N 0.0688 0.2693 0.8510
N2 N 0.0977 0.2873 0.1823
N3 N 0.2241 0.0040 0.7523
N4 N 0.2608 0.0335 0.3286
Cl1 Cl 0.1911 0.3258 0.5472
Cl2 Cl 0.3483 0.6699 0.0423
O1 O 0.2000 0.0098 0.0323
O2 O 0.3193 0.6896 0.3959
O3 O 0.3957 0.6894 0.7483

=====

# 4
# K2Cr2O5, relaxed, DFT PBE+U
# Total DFT energy (no corrections) = -6.179 eV per atom
# DFT formation energy = -16.781 eV per formula unit
# Mass density = 3.3 g/cm³
# Total moment = 16.0 μB/cell
data_K2Cr2O5
_symmetry_space_group_name_H-M 'I m a 2'
_symmetry_Int_Tables_number 46
_symmetry_space_group_name_Hall 'I 2 -2a'
_cell_length_a 14.1745
_cell_length_b 6.2646
_cell_length_c 5.9142
_cell_angle_alpha 90.00
_cell_angle_beta 90.00
_cell_angle_gamma 90.00
loop_
_atom_site_label
_atom_site_type_symbol
_atom_site_fract_x
_atom_site_fract_y
_atom_site_fract_z
K1 K 0.1179 0.0316 0.0000
Cr1 Cr 0.0000 0.0000 0.5295
Cr2 Cr 0.2500 0.5904 0.9905
O1 O 0.0130 0.7232 0.2098
O2 O 0.1413 0.0479 0.4716
O3 O 0.2500 0.6962 0.2851

=====

# 5
# Li3Fe4B4O12, relaxed, DFT PBE+U
# E above lowest polymorph = 0.09 eV/f.u.
# Total DFT energy (no corrections) = -7.016 eV per atom
# DFT formation energy = -52.930 eV per formula unit
# Mass density = 3.3 g/cm³
# Total moment = 17.0 μB/cell
data_Li3Fe4B4O12
_symmetry_space_group_name_H-M 'P 1'
_symmetry_Int_Tables_number 1
_symmetry_space_group_name_Hall 'P 1'
_cell_length_a 5.2384
_cell_length_b 5.2603
_cell_length_c 10.0329
_cell_angle_alpha 88.53
_cell_angle_beta 89.62
_cell_angle_gamma 60.19
loop_
_atom_site_label
_atom_site_type_symbol
_atom_site_fract_x
_atom_site_fract_y
_atom_site_fract_z
Li1 Li 0.0000 0.0000 0.0000
Li2 Li 0.0147 0.6700 0.2620
Li3 Li 0.9668 0.6939 0.7583
Fe1 Fe 0.3138 0.0174 0.7256
Fe2 Fe 0.3281 0.3350 0.9748
Fe3 Fe 0.6503 0.6704 0.4802
Fe4 Fe 0.6780 0.3391 0.2272
B1 B 0.3244 0.3356 0.4725
B2 B 0.3280 0.0108 0.2229
B3 B 0.6469 0.3439 0.7258
B4 B 0.6551 0.6747 0.9714
O1 O 0.0488 0.5749 0.4552
O2 O 0.0807 0.9843 0.2080
O3 O 0.3204 0.2724 0.1876
O4 O 0.3606 0.0704 0.5207
O5 O 0.3764 0.3726 0.7634
O6 O 0.3861 0.9232 0.9362
O7 O 0.5686 0.3598 0.4371
O8 O 0.5922 0.7700 0.2708
O9 O 0.6522 0.6008 0.6812
O10 O 0.6598 0.4194 0.0149
O11 O 0.9016 0.0835 0.7329
O12 O 0.9122 0.6843 0.9603

=====

# 6
# ZrFeP3PbO12, relaxed, DFT PBE+U
# Total DFT energy (no corrections) = -7.499 eV per atom
# DFT formation energy = -49.139 eV per formula unit
# Mass density = 4.0 g/cm³
# Total moment = 30.0 μB/cell
data_ZrFeP3PbO12
_symmetry_space_group_name_H-M 'R 3 c'
_symmetry_Int_Tables_number 161
_symmetry_space_group_name_Hall 'R 3 -2"c'
_cell_length_a 8.7826
_cell_length_b 8.7826
_cell_length_c 23.5718
_cell_angle_alpha 90.00
_cell_angle_beta 90.00
_cell_angle_gamma 120.00
loop_
_atom_site_label
_atom_site_type_symbol
_atom_site_fract_x
_atom_site_fract_y
_atom_site_fract_z
Zr1 Zr 0.0000 0.0000 0.0000
Fe1 Fe 0.0000 0.0000 0.2995
P1 P 0.0150 0.2924 0.3945
Pb1 Pb 0.0000 0.0000 0.1586
O1 O 0.0153 0.2021 0.0525
O2 O 0.0483 0.2118 0.3416
O3 O 0.1522 0.4652 0.1152
O4 O 0.1832 0.4753 0.4032

=====

# 7
# K6Co2O5, relaxed, DFT PBE+U
# Total DFT energy (no corrections) = -4.412 eV per atom
# DFT formation energy = -18.454 eV per formula unit
# Mass density = 2.7 g/cm³
# Total moment = 0.0 μB/cell
data_K6Co2O5
_symmetry_space_group_name_H-M 'P 42/m n m'
_symmetry_Int_Tables_number 136
_symmetry_space_group_name_Hall '-P 4n 2n'
_cell_length_a 6.6602
_cell_length_b 6.6602
_cell_length_c 11.9594
_cell_angle_alpha 90.00
_cell_angle_beta 90.00
_cell_angle_gamma 90.00
loop_
_atom_site_label
_atom_site_type_symbol
_atom_site_fract_x
_atom_site_fract_y
_atom_site_fract_z
K1 K 0.0000 0.0000 0.2194
K2 K 0.0000 0.5000 0.2500
K3 K 0.1800 0.1800 0.5000
Co1 Co 0.2061 0.2061 0.0000
O1 O 0.0000 0.0000 0.0000
O2 O 0.2118 0.7882 0.3616

=====

# 8
# CoNi2P2O8, relaxed, DFT PBE+U
# Total DFT energy (no corrections) = -6.495 eV per atom
# DFT formation energy = -27.569 eV per formula unit
# Mass density = 4.2 g/cm³
# Total moment = 6.0 μB/cell
data_CoNi2P2O8
_symmetry_space_group_name_H-M 'P 1'
_symmetry_Int_Tables_number 1
_symmetry_space_group_name_Hall 'P 1'
_cell_length_a 4.7597
_cell_length_b 5.9503
_cell_length_c 10.2932
_cell_angle_alpha 89.28
_cell_angle_beta 89.90
_cell_angle_gamma 89.95
loop_
_atom_site_label
_atom_site_type_symbol
_atom_site_fract_x
_atom_site_fract_y
_atom_site_fract_z
Co1 Co 0.0000 0.0000 0.0000
Co2 Co 0.4990 0.5206 0.0584
Ni1 Ni 0.0121 0.2609 0.2797
Ni2 Ni 0.0238 0.5201 0.5544
Ni3 Ni 0.5114 0.2622 0.7781
Ni4 Ni 0.5235 0.0027 0.5035
P1 P 0.0877 0.0161 0.6812
P2 P 0.4378 0.0171 0.1840
P3 P 0.5880 0.5069 0.3769
P4 P 0.9363 0.5056 0.8729
O1 O 0.2037 0.0198 0.8223
O2 O 0.2059 0.8175 0.6024
O3 O 0.2455 0.2282 0.6158
O4 O 0.2582 0.4900 0.8802
O5 O 0.2653 0.4905 0.3824
O6 O 0.2833 0.2291 0.1176
O7 O 0.3185 0.8191 0.1054
O8 O 0.3216 0.0202 0.3254
O9 O 0.7043 0.5040 0.2358
O10 O 0.7054 0.7051 0.4559
O11 O 0.7452 0.2943 0.4419
O12 O 0.7602 0.0326 0.1775
O13 O 0.7652 0.0325 0.6755
O14 O 0.7801 0.2942 0.9391
O15 O 0.8167 0.7040 0.9512
O16 O 0.8213 0.5025 0.7316

=====

# 9
# MgCo6O9F3, relaxed, DFT PBE+U
# E above lowest polymorph = 1.16 eV/f.u.
# Total DFT energy (no corrections) = -5.519 eV per atom
# DFT formation energy = -27.730 eV per formula unit
# Mass density = 4.6 g/cm³
# Total moment = 17.0 μB/cell
data_MgCo6O9F3
_symmetry_space_group_name_H-M 'P 1'
_symmetry_Int_Tables_number 1
_symmetry_space_group_name_Hall 'P 1'
_cell_length_a 4.9681
_cell_length_b 4.9797
_cell_length_c 8.6132
_cell_angle_alpha 89.07
_cell_angle_beta 88.33
_cell_angle_gamma 77.63
loop_
_atom_site_label
_atom_site_type_symbol
_atom_site_fract_x
_atom_site_fract_y
_atom_site_fract_z
Mg1 Mg 0.0000 0.0000 0.0000
Co1 Co 0.3919 0.9484 0.5058
Co2 Co 0.4744 0.0286 0.1755
Co3 Co 0.5341 0.1104 0.8199
Co4 Co 0.9497 0.5154 0.0023
Co5 Co 0.9613 0.5240 0.6657
Co6 Co 0.9854 0.5369 0.3400
O1 O 0.1007 0.6920 0.1577
O2 O 0.1407 0.7078 0.5068
O3 O 0.2580 0.1955 0.3405
O4 O 0.2705 0.2181 0.6621
O5 O 0.2768 0.2250 0.0024
O6 O 0.6332 0.8038 0.3386
O7 O 0.6464 0.8273 0.6642
O8 O 0.6601 0.8391 0.9976
O9 O 0.8007 0.3219 0.8396
F1 F 0.1371 0.7266 0.8376
F2 F 0.7832 0.2730 0.1615
F3 F 0.7935 0.3481 0.4977

=====

# 10
# Li3Fe8B8O24, relaxed, DFT PBE+U
# E above lowest polymorph = 0.16 eV/f.u.
# Total DFT energy (no corrections) = -7.162 eV per atom
# DFT formation energy = -96.825 eV per formula unit
# Mass density = 3.2 g/cm³
# Total moment = 37.0 μB/cell
data_Li3Fe8B8O24
_symmetry_space_group_name_H-M 'P 1'
_symmetry_Int_Tables_number 1
_symmetry_space_group_name_Hall 'P 1'
_cell_length_a 5.3011
_cell_length_b 9.0740
_cell_length_c 10.1116
_cell_angle_alpha 89.50
_cell_angle_beta 89.33
_cell_angle_gamma 89.58
loop_
_atom_site_label
_atom_site_type_symbol
_atom_site_fract_x
_atom_site_fract_y
_atom_site_fract_z
Li1 Li 0.0000 0.0000 0.0000
Li2 Li 0.1872 0.5069 0.2818
Li3 Li 0.5007 0.4939 0.0003
Fe1 Fe 0.0011 0.3450 0.5331
Fe2 Fe 0.0009 0.6633 0.0306
Fe3 Fe 0.1808 0.8472 0.2806
Fe4 Fe 0.1941 0.1774 0.7781
Fe5 Fe 0.5087 0.8413 0.5282
Fe6 Fe 0.5102 0.1616 0.0319
Fe7 Fe 0.6835 0.3351 0.2833
Fe8 Fe 0.6922 0.6755 0.7781
B1 B 0.0122 0.3375 0.0364
B2 B 0.0191 0.6800 0.5212
B3 B 0.1822 0.1780 0.2768
B4 B 0.1843 0.8372 0.7842
B5 B 0.5077 0.8354 0.0317
B6 B 0.5098 0.1704 0.5290
B7 B 0.6767 0.6709 0.2813
B8 B 0.6860 0.3382 0.7878
O1 O 0.0377 0.7181 0.8251
O2 O 0.0470 0.3057 0.3114
O3 O 0.0727 0.0436 0.2770
O4 O 0.1054 0.9768 0.8102
O5 O 0.1166 0.5461 0.4980
O6 O 0.1204 0.2078 0.9870
O7 O 0.1482 0.8091 0.4808
O8 O 0.1531 0.4633 0.0503
O9 O 0.2554 0.8346 0.0794
O10 O 0.2731 0.1920 0.5865
O11 O 0.4184 0.8092 0.7242
O12 O 0.4306 0.1958 0.2353
O13 O 0.5402 0.2183 0.8258
O14 O 0.5406 0.7945 0.3229
O15 O 0.5600 0.5370 0.2714
O16 O 0.5922 0.4780 0.8063
O17 O 0.6109 0.7018 0.9848
O18 O 0.6179 0.0342 0.5245
O19 O 0.6360 0.2926 0.4755
O20 O 0.6484 0.9592 0.0297
O21 O 0.7573 0.3378 0.0752
O22 O 0.7797 0.7016 0.5814
O23 O 0.9268 0.3174 0.7380
O24 O 0.9322 0.6860 0.2457